Compound: Mo2P3O13
Source: Materials Project
Functional: PBE with a Hubbard U
Structure: relaxed

a = 9.0824 Å, b = 9.0824 Å, c = 8.9584 Å
α = 110.94°, β = 110.94°, γ = 105.77°
Last column: nearest neighbours and their distance in Å.
Fractional coordinates of all 36 atoms:
Mo (0.1567, 0.3333, 0.1748)  1 O 1.70
Mo (0.3333, 0.1567, 0.6748)  1 O 1.70
Mo (0.6667, 0.8433, 0.3252)  1 O 1.70
Mo (0.8433, 0.6667, 0.8252)  1 O 1.70
P (0.0096, 0.9904, 0.7500)  4 O 1.54-1.55
P (0.2379, 0.6502, 0.0617)  4 O 1.49-1.63
P (0.3498, 0.7621, 0.4383)  4 O 1.49-1.63
P (0.6502, 0.2379, 0.5617)  4 O 1.49-1.63
P (0.7621, 0.3498, 0.9383)  4 O 1.49-1.63
P (0.9904, 0.0096, 0.2500)  4 O 1.54-1.55
O (0.0094, 0.1144, 0.9208)  1 P 1.54
O (0.0583, 0.2003, 0.2814)  1 P 1.55
O (0.1005, 0.6492, 0.9069)  1 P 1.49
O (0.1144, 0.0094, 0.4208)  1 P 1.54
O (0.2003, 0.0583, 0.7814)  1 P 1.55
O (0.2009, 0.4654, 0.0412)  1 P 1.55
O (0.2382, 0.7618, 0.2500)  2 P 1.63
O (0.2561, 0.5710, 0.3995)  1 P 1.55
O (0.3081, 0.3444, 0.7295)  1 Mo 1.70
O (0.3444, 0.3081, 0.2295)  1 Mo 1.70
O (0.3508, 0.8995, 0.5931)  1 P 1.49
O (0.4290, 0.7439, 0.1005)  1 P 1.55
O (0.4654, 0.2009, 0.5412)  1 P 1.55
O (0.5346, 0.7991, 0.4588)  1 P 1.55
O (0.5710, 0.2561, 0.8995)  1 P 1.55
O (0.6492, 0.1005, 0.4069)  1 P 1.49
O (0.6556, 0.6919, 0.7705)  1 Mo 1.70
O (0.6919, 0.6556, 0.2705)  1 Mo 1.70
O (0.7439, 0.4290, 0.6005)  1 P 1.55
O (0.7618, 0.2382, 0.7500)  2 P 1.63
O (0.7991, 0.5346, 0.9588)  1 P 1.55
O (0.7997, 0.9417, 0.2186)  1 P 1.55
O (0.8856, 0.9906, 0.5792)  1 P 1.54
O (0.8995, 0.3508, 0.0931)  1 P 1.49
O (0.9417, 0.7997, 0.7186)  1 P 1.55
O (0.9906, 0.8856, 0.0792)  1 P 1.54

ΔE_f ... -42.19 eV per formula unit
ρ ... 2.9 g cm⁻³

---

Compound: MoP2O7
Source: Materials Project
Functional: PBE with a Hubbard U
Structure: relaxed

a = 5.2495 Å, b = 5.2495 Å, c = 4.6663 Å
α = 97.60°, β = 97.60°, γ = 100.74°
Last column: nearest neighbours and their distance in Å.
Fractional coordinates of all 10 atoms:
Mo (0.0000, 0.0000, 0.0000)  6 O 2.02-2.05
P (0.4525, 0.1490, 0.5850)  4 O 1.52-1.61
P (0.8510, 0.5475, 0.4150)  4 O 1.52-1.61
O (0.0281, 0.6875, 0.7020)  1 P 1.53
O (0.2654, 0.2110, 0.7995)  1 P 1.54
O (0.3125, 0.9719, 0.2980)  1 P 1.53
O (0.5697, 0.4303, 0.5000)  2 P 1.61
O (0.6784, 0.0388, 0.7247)  1 P 1.52
O (0.7890, 0.7346, 0.2005)  1 P 1.54
O (0.9612, 0.3216, 0.2753)  1 P 1.52

ΔE_f ... -24.67 eV per formula unit
ρ ... 3.6 g cm⁻³

---

Compound: Mo3P4O16
Source: Materials Project
Functional: PBE with a Hubbard U
Structure: relaxed

a = 8.0276 Å, b = 9.0792 Å, c = 13.5665 Å
α = 94.40°, β = 90.98°, γ = 90.54°
Last column: nearest neighbours and their distance in Å.
Fractional coordinates of all 69 atoms:
Mo (0.0000, 0.0000, 0.0000)  5 O 2.01-2.08
Mo (0.0011, 0.3462, 0.3328)  5 O 1.97-2.08
Mo (0.0237, 0.6632, 0.6648)  5 O 1.90-2.10
Mo (0.1407, 0.4025, 0.9961)  5 O 1.94-2.16
Mo (0.4647, 0.8327, 0.3270)  5 O 1.95-2.14
Mo (0.4917, 0.1840, 0.6602)  5 O 2.02-2.05
Mo (0.5257, 0.5150, 0.0018)  5 O 1.96-2.10
Mo (0.6355, 0.7787, 0.6605)  5 O 1.93-2.14
Mo (0.8574, 0.9400, 0.3309)  5 O 1.96-2.15
P (0.1801, 0.3406, 0.5496)  4 O 1.47-1.60
P (0.1906, 0.0372, 0.2194)  4 O 1.53-1.56
P (0.2114, 0.6960, 0.8883)  4 O 1.54-1.59
P (0.2999, 0.8614, 0.5486)  4 O 1.53-1.56
P (0.3084, 0.5156, 0.2231)  3 O 1.46-1.59
P (0.3359, 0.1900, 0.8797)  3 O 1.46-1.63
P (0.6606, 0.1535, 0.4433)  2 O 1.46-1.55
P (0.6853, 0.8380, 0.1060)  3 O 1.46-1.57
P (0.7043, 0.4923, 0.7780)  4 O 1.53-1.60
P (0.7823, 0.6481, 0.4378)  4 O 1.51-1.62
P (0.8093, 0.3162, 0.1094)  4 O 1.54-1.55
P (0.8308, 0.9930, 0.7808)  3 O 1.46-1.63
O (0.0649, 0.2224, 0.5750)  1 P 1.47
O (0.0698, 0.9208, 0.2590)  1 P 1.56
O (0.0877, 0.5737, 0.9244)  1 P 1.59
O (0.1243, 0.5010, 0.5927)  1 P 1.60
O (0.1256, 0.5019, 0.2554)  1 P 1.54
O (0.1258, 0.8227, 0.5853)  1 P 1.54
O (0.1325, 0.1930, 0.2553)  1 P 1.54
O (0.1448, 0.8465, 0.9283)  1 P 1.54
O (0.1481, 0.1909, 0.9315)  1 P 1.67
O (0.1789, 0.3675, 0.4351)  1 P 1.59
O (0.1808, 0.0293, 0.1054)  1 P 1.54
O (0.2074, 0.6855, 0.7747)  1 P 1.54
O (0.2934, 0.8583, 0.4335)  1 P 1.56
O (0.3003, 0.4947, 0.0976)  1 P 1.70
O (0.3139, 0.1973, 0.7664)  1 P 1.55
O (0.3508, 0.6876, 0.2356)  1 P 1.59
O (0.3610, 0.0141, 0.5900)  1 P 1.53
O (0.3654, 0.0066, 0.2585)  1 P 1.53
O (0.3664, 0.3334, 0.5853)  1 P 1.57
O (0.3708, 0.3610, 0.9198)  1 P 1.63
O (0.3878, 0.6670, 0.9285)  1 P 1.54
O (0.4243, 0.7438, 0.5809)  1 P 1.55
O (0.4406, 0.4193, 0.2551)  1 P 1.46
O (0.4487, 0.0788, 0.9144)  1 P 1.46
O (0.5507, 0.2581, 0.3992)  1 P 1.46
O (0.5617, 0.9426, 0.0738)  1 P 1.46
O (0.5838, 0.6152, 0.7378)  1 P 1.60
O (0.6073, 0.6726, 0.3994)  1 P 1.51
O (0.6311, 0.9773, 0.4113)  1 P 1.64
O (0.6324, 0.3498, 0.0706)  1 P 1.55
O (0.6333, 0.6707, 0.0895)  1 P 1.57
O (0.6343, 0.3426, 0.7365)  1 P 1.53
O (0.6397, 0.9853, 0.7290)  1 P 1.68
O (0.6753, 0.1542, 0.5577)  1 P 1.55
O (0.6890, 0.8525, 0.2326)  1 P 1.71
O (0.7019, 0.5067, 0.8912)  1 P 1.53
O (0.7903, 0.6775, 0.5572)  1 P 1.62
O (0.8179, 0.3235, 0.2229)  1 P 1.54
O (0.8189, 0.9707, 0.8924)  1 P 1.55
O (0.8514, 0.1501, 0.3948)  1 P 1.68
O (0.8526, 0.4952, 0.4139)  1 P 1.52
O (0.8639, 0.1608, 0.0686)  1 P 1.55
O (0.8713, 0.8502, 0.0791)  1 P 1.55
O (0.8719, 0.8284, 0.7319)  1 P 1.63
O (0.8804, 0.5225, 0.7413)  1 P 1.54
O (0.9097, 0.7651, 0.4016)  1 P 1.58
O (0.9288, 0.4324, 0.0693)  1 P 1.55
O (0.9312, 0.1167, 0.7510)  1 P 1.46

ΔE_f ... -52.84 eV per formula unit
ρ ... 3.4 g cm⁻³

---

Compound: Mo4P9O32
Source: Materials Project
Functional: PBE with a Hubbard U
Structure: relaxed

a = 14.4039 Å, b = 14.4039 Å, c = 6.5044 Å
α = 90.00°, β = 90.00°, γ = 90.00°
Last column: nearest neighbours and their distance in Å.
Fractional coordinates of all 90 atoms:
Mo (0.1135, 0.1962, 0.1281)  6 O 1.94-2.06
Mo (0.1962, 0.8865, 0.8719)  6 O 1.94-2.06
Mo (0.3038, 0.3865, 0.6281)  6 O 1.94-2.06
Mo (0.3865, 0.6962, 0.3719)  6 O 1.94-2.06
Mo (0.6135, 0.3038, 0.3719)  6 O 1.94-2.06
Mo (0.6962, 0.6135, 0.6281)  6 O 1.94-2.06
Mo (0.8038, 0.1135, 0.8719)  6 O 1.94-2.06
Mo (0.8865, 0.8038, 0.1281)  6 O 1.94-2.06
P (0.0000, 0.0000, 0.0000)  4 O 1.55
P (0.0605, 0.6956, 0.8828)  4 O 1.46-1.62
P (0.1053, 0.2504, 0.6397)  4 O 1.52-1.59
P (0.1956, 0.5605, 0.3828)  4 O 1.46-1.62
P (0.2496, 0.3947, 0.1397)  4 O 1.52-1.59
P (0.2504, 0.8947, 0.3603)  4 O 1.52-1.59
P (0.3044, 0.0605, 0.1172)  4 O 1.46-1.62
P (0.3947, 0.7504, 0.8603)  4 O 1.52-1.59
P (0.4395, 0.1956, 0.6172)  4 O 1.46-1.62
P (0.5000, 0.5000, 0.5000)  4 O 1.55
P (0.5605, 0.8044, 0.6172)  4 O 1.46-1.62
P (0.6053, 0.2496, 0.8603)  4 O 1.52-1.59
P (0.6956, 0.9395, 0.1172)  4 O 1.46-1.62
P (0.7496, 0.1053, 0.3603)  4 O 1.52-1.59
P (0.7504, 0.6053, 0.1397)  4 O 1.52-1.59
P (0.8044, 0.4395, 0.3828)  4 O 1.46-1.62
P (0.8947, 0.7496, 0.6397)  4 O 1.52-1.59
P (0.9395, 0.3044, 0.8828)  4 O 1.46-1.62
O (0.0027, 0.2869, 0.6796)  2 P 1.59-1.62
O (0.0044, 0.7469, 0.0591)  1 P 1.59
O (0.0543, 0.0684, 0.1387)  1 P 1.55
O (0.0684, 0.9457, 0.8613)  1 P 1.55
O (0.0836, 0.5984, 0.9186)  1 P 1.46
O (0.0982, 0.1978, 0.4357)  1 P 1.53
O (0.0984, 0.5836, 0.4186)  1 P 1.46
O (0.1299, 0.1828, 0.8149)  1 P 1.54
O (0.1457, 0.7618, 0.8426)  1 P 1.58
O (0.1674, 0.3286, 0.1298)  1 P 1.52
O (0.1714, 0.3326, 0.6298)  1 P 1.52
O (0.1828, 0.8701, 0.1850)  1 P 1.54
O (0.1978, 0.9018, 0.5643)  1 P 1.53
O (0.2131, 0.4973, 0.1796)  2 P 1.59-1.62
O (0.2382, 0.1457, 0.1574)  1 P 1.58
O (0.2469, 0.5044, 0.5591)  1 P 1.59
O (0.2531, 0.0044, 0.9409)  1 P 1.59
O (0.2618, 0.6457, 0.3426)  1 P 1.58
O (0.2869, 0.9973, 0.3204)  2 P 1.59-1.62
O (0.3022, 0.4018, 0.9357)  1 P 1.53
O (0.3172, 0.3701, 0.3150)  1 P 1.54
O (0.3286, 0.8326, 0.8702)  1 P 1.52
O (0.3326, 0.8286, 0.3702)  1 P 1.52
O (0.3543, 0.2618, 0.6574)  1 P 1.58
O (0.3701, 0.6828, 0.6851)  1 P 1.54
O (0.4016, 0.0836, 0.0814)  1 P 1.46
O (0.4018, 0.6978, 0.0643)  1 P 1.53
O (0.4164, 0.0984, 0.5814)  1 P 1.46
O (0.4316, 0.4457, 0.6387)  1 P 1.55
O (0.4457, 0.5684, 0.3613)  1 P 1.55
O (0.4956, 0.2469, 0.4409)  1 P 1.59
O (0.4973, 0.7869, 0.8204)  2 P 1.59-1.62
O (0.5027, 0.2131, 0.8204)  2 P 1.59-1.62
O (0.5044, 0.7531, 0.4409)  1 P 1.59
O (0.5543, 0.4316, 0.3613)  1 P 1.55
O (0.5684, 0.5543, 0.6387)  1 P 1.55
O (0.5836, 0.9016, 0.5814)  1 P 1.46
O (0.5982, 0.3022, 0.0643)  1 P 1.53
O (0.5984, 0.9164, 0.0814)  1 P 1.46
O (0.6299, 0.3172, 0.6851)  1 P 1.54
O (0.6457, 0.7382, 0.6574)  1 P 1.58
O (0.6674, 0.1714, 0.3702)  1 P 1.52
O (0.6714, 0.1674, 0.8702)  1 P 1.52
O (0.6828, 0.6299, 0.3150)  1 P 1.54
O (0.6978, 0.5982, 0.9357)  1 P 1.53
O (0.7131, 0.0027, 0.3204)  2 P 1.59-1.62
O (0.7382, 0.3543, 0.3426)  1 P 1.58
O (0.7469, 0.9956, 0.9409)  1 P 1.59
O (0.7531, 0.4956, 0.5591)  1 P 1.59
O (0.7618, 0.8543, 0.1574)  1 P 1.58
O (0.7869, 0.5027, 0.1796)  2 P 1.59-1.62
O (0.8022, 0.0982, 0.5643)  1 P 1.53
O (0.8172, 0.1299, 0.1850)  1 P 1.54
O (0.8286, 0.6674, 0.6298)  1 P 1.52
O (0.8326, 0.6714, 0.1298)  1 P 1.52
O (0.8543, 0.2382, 0.8426)  1 P 1.58
O (0.8701, 0.8172, 0.8149)  1 P 1.54
O (0.9016, 0.4164, 0.4186)  1 P 1.46
O (0.9018, 0.8022, 0.4357)  1 P 1.53
O (0.9164, 0.4016, 0.9186)  1 P 1.46
O (0.9316, 0.0543, 0.8613)  1 P 1.55
O (0.9457, 0.9316, 0.1387)  1 P 1.55
O (0.9956, 0.2531, 0.0591)  1 P 1.59
O (0.9973, 0.7131, 0.6796)  2 P 1.59-1.62

ΔE_f ... -107.84 eV per formula unit
ρ ... 2.9 g cm⁻³